Record 1
## TiAlNi (GGA-PBE)

Data for TiAlNi after structural relaxation.

magnetic moment: 0.61 μB/f.u.
formation enthalpy at 0 K: -489 meV per atom

Unit cell a=7.956 b=5.026 c=8.445 alpha=90.00 beta=90.00 gamma=90.00
Space group Amm2 (No. 38)
Unique sites:
Ti1 0.173 0.000 0.000 (multiplicity 4)
Ti2 0.294 0.000 0.669 (multiplicity 4)
Al1 0.239 0.000 0.327 (multiplicity 4)
Al2 0.500 0.244 0.929 (multiplicity 4)
Ni1 0.000 0.000 0.506 (multiplicity 2)
Ni2 0.000 0.240 0.750 (multiplicity 4)
Ni3 0.500 0.000 0.173 (multiplicity 2)

---

Record 2
## Na6Ca4Ta4Si5S7O48 (GGA-PBE)

Data for Na6Ca4Ta4Si5S7O48 after structural relaxation.

magnetic moment: 0.00 μB/f.u.
formation enthalpy at 0 K: -2645 meV per atom

Unit cell a=9.122 b=15.812 c=23.176 alpha=89.79 beta=89.99 gamma=89.95
Space group P1 (No. 1)
Unique sites:
Na1 0.000 0.000 0.000 (multiplicity 1)
Na2 0.000 0.313 0.670 (multiplicity 1)
Na3 0.014 0.328 0.171 (multiplicity 1)
Na4 0.017 0.643 0.342 (multiplicity 1)
Na5 0.119 0.816 0.421 (multiplicity 1)
Na6 0.146 0.485 0.752 (multiplicity 1)
Na7 0.364 0.986 0.256 (multiplicity 1)
Na8 0.388 0.316 0.921 (multiplicity 1)
Na9 0.491 0.147 0.841 (multiplicity 1)
Na10 0.491 0.827 0.666 (multiplicity 1)
Na11 0.498 0.488 0.493 (multiplicity 1)
Na12 0.506 0.812 0.175 (multiplicity 1)
Na13 0.523 0.149 0.345 (multiplicity 1)
Na14 0.532 0.491 0.002 (multiplicity 1)
Na15 0.617 0.316 0.422 (multiplicity 1)
Na16 0.883 0.815 0.922 (multiplicity 1)
Na17 0.971 0.636 0.836 (multiplicity 1)
Na18 0.976 0.993 0.500 (multiplicity 1)
Ca1 0.004 0.644 0.187 (multiplicity 1)
Ca2 0.004 0.653 0.683 (multiplicity 1)
Ca3 0.005 0.992 0.864 (multiplicity 1)
Ca4 0.011 0.647 0.485 (multiplicity 1)
Ca5 0.498 0.150 0.985 (multiplicity 1)
Ca6 0.499 0.488 0.365 (multiplicity 1)
Ca7 0.505 0.144 0.686 (multiplicity 1)
Ca8 0.506 0.154 0.184 (multiplicity 1)
Ca9 0.512 0.144 0.486 (multiplicity 1)
Ca10 0.515 0.487 0.860 (multiplicity 1)
Ca11 0.992 0.638 0.988 (multiplicity 1)
Ca12 0.994 0.988 0.361 (multiplicity 1)
Ta1 0.005 0.981 0.650 (multiplicity 1)
Ta2 0.006 0.313 0.028 (multiplicity 1)
Ta3 0.007 0.312 0.813 (multiplicity 1)
Ta4 0.007 0.318 0.518 (multiplicity 1)
Ta5 0.008 0.318 0.323 (multiplicity 1)
Ta6 0.502 0.812 0.314 (multiplicity 1)
Ta7 0.502 0.813 0.527 (multiplicity 1)
Ta8 0.505 0.478 0.152 (multiplicity 1)
Ta9 0.511 0.477 0.660 (multiplicity 1)
Ta10 0.513 0.817 0.022 (multiplicity 1)
Ta11 0.514 0.818 0.819 (multiplicity 1)
Ta12 0.999 0.979 0.162 (multiplicity 1)
Si1 0.148 0.174 0.922 (multiplicity 1)
Si2 0.149 0.830 0.263 (multiplicity 1)
Si3 0.155 0.800 0.586 (multiplicity 1)
Si4 0.298 0.311 0.421 (multiplicity 1)
Si5 0.355 0.300 0.085 (multiplicity 1)
Si6 0.360 0.674 0.422 (multiplicity 1)
Si7 0.362 0.330 0.762 (multiplicity 1)
Si8 0.648 0.964 0.921 (multiplicity 1)
Si9 0.650 0.669 0.922 (multiplicity 1)
Si10 0.651 0.997 0.589 (multiplicity 1)
Si11 0.701 0.984 0.259 (multiplicity 1)
Si12 0.806 0.485 0.759 (multiplicity 1)
Si13 0.853 0.497 0.089 (multiplicity 1)
Si14 0.862 0.170 0.422 (multiplicity 1)
Si15 0.862 0.465 0.421 (multiplicity 1)
S1 0.139 0.455 0.920 (multiplicity 1)
S2 0.142 0.133 0.253 (multiplicity 1)
S3 0.164 0.491 0.592 (multiplicity 1)
S4 0.193 0.152 0.590 (multiplicity 1)
S5 0.211 0.476 0.256 (multiplicity 1)
S6 0.227 0.813 0.921 (multiplicity 1)
S7 0.296 0.976 0.757 (multiplicity 1)
S8 0.315 0.651 0.089 (multiplicity 1)
S9 0.344 0.991 0.089 (multiplicity 1)
S10 0.365 0.632 0.754 (multiplicity 1)
S11 0.370 0.954 0.420 (multiplicity 1)
S12 0.644 0.629 0.255 (multiplicity 1)
S13 0.659 0.340 0.256 (multiplicity 1)
S14 0.661 0.306 0.589 (multiplicity 1)
S15 0.691 0.645 0.589 (multiplicity 1)
S16 0.727 0.315 0.921 (multiplicity 1)
S17 0.782 0.815 0.421 (multiplicity 1)
S18 0.817 0.145 0.088 (multiplicity 1)
S19 0.852 0.807 0.087 (multiplicity 1)
S20 0.853 0.840 0.757 (multiplicity 1)
S21 0.864 0.130 0.755 (multiplicity 1)
O1 0.068 0.216 0.254 (multiplicity 1)
O2 0.072 0.084 0.927 (multiplicity 1)
O3 0.075 0.084 0.201 (multiplicity 1)
O4 0.075 0.775 0.527 (multiplicity 1)
O5 0.076 0.540 0.920 (multiplicity 1)
O6 0.084 0.232 0.976 (multiplicity 1)
O7 0.085 0.412 0.865 (multiplicity 1)
O8 0.088 0.225 0.583 (multiplicity 1)
O9 0.088 0.231 0.864 (multiplicity 1)
O10 0.088 0.406 0.972 (multiplicity 1)
O11 0.088 0.740 0.248 (multiplicity 1)
O12 0.092 0.899 0.606 (multiplicity 1)
O13 0.094 0.074 0.602 (multiplicity 1)
O14 0.099 0.525 0.645 (multiplicity 1)
O15 0.102 0.403 0.584 (multiplicity 1)
O16 0.104 0.877 0.320 (multiplicity 1)
O17 0.110 0.902 0.205 (multiplicity 1)
O18 0.114 0.549 0.250 (multiplicity 1)
O19 0.119 0.083 0.305 (multiplicity 1)
O20 0.121 0.394 0.256 (multiplicity 1)
O21 0.135 0.889 0.921 (multiplicity 1)
O22 0.137 0.736 0.923 (multiplicity 1)
O23 0.138 0.544 0.541 (multiplicity 1)
O24 0.145 0.744 0.642 (multiplicity 1)
O25 0.171 0.332 0.762 (multiplicity 1)
O26 0.173 0.321 0.075 (multiplicity 1)
O27 0.180 0.981 0.097 (multiplicity 1)
O28 0.183 0.311 0.363 (multiplicity 1)
O29 0.183 0.315 0.478 (multiplicity 1)
O30 0.185 0.680 0.418 (multiplicity 1)
O31 0.199 0.967 0.705 (multiplicity 1)
O32 0.207 0.642 0.746 (multiplicity 1)
O33 0.209 0.982 0.809 (multiplicity 1)
O34 0.210 0.955 0.422 (multiplicity 1)
O35 0.228 0.670 0.140 (multiplicity 1)
O36 0.231 0.634 0.037 (multiplicity 1)
O37 0.274 0.133 0.538 (multiplicity 1)
O38 0.281 0.168 0.641 (multiplicity 1)
O39 0.298 0.482 0.308 (multiplicity 1)
O40 0.299 0.456 0.922 (multiplicity 1)
O41 0.300 0.139 0.243 (multiplicity 1)
O42 0.313 0.470 0.203 (multiplicity 1)
O43 0.322 0.810 0.868 (multiplicity 1)
O44 0.323 0.179 0.918 (multiplicity 1)
O45 0.323 0.818 0.974 (multiplicity 1)
O46 0.329 0.483 0.600 (multiplicity 1)
O47 0.335 0.820 0.576 (multiplicity 1)
O48 0.338 0.833 0.262 (multiplicity 1)
O49 0.363 0.242 0.141 (multiplicity 1)
O50 0.371 0.044 0.039 (multiplicity 1)
O51 0.388 0.893 0.760 (multiplicity 1)
O52 0.389 0.584 0.807 (multiplicity 1)
O53 0.391 0.226 0.419 (multiplicity 1)
O54 0.394 0.395 0.425 (multiplicity 1)
O55 0.397 0.047 0.751 (multiplicity 1)
O56 0.400 0.402 0.705 (multiplicity 1)
O57 0.405 0.377 0.820 (multiplicity 1)
O58 0.405 0.901 0.079 (multiplicity 1)
O59 0.411 0.021 0.143 (multiplicity 1)
O60 0.415 0.576 0.100 (multiplicity 1)
O61 0.416 0.399 0.105 (multiplicity 1)
O62 0.418 0.727 0.079 (multiplicity 1)
O63 0.418 0.733 0.364 (multiplicity 1)
O64 0.420 0.238 0.750 (multiplicity 1)
O65 0.420 0.904 0.472 (multiplicity 1)
O66 0.423 0.733 0.477 (multiplicity 1)
O67 0.423 0.911 0.365 (multiplicity 1)
O68 0.433 0.276 0.026 (multiplicity 1)
O69 0.433 0.587 0.703 (multiplicity 1)
O70 0.434 0.038 0.420 (multiplicity 1)
O71 0.438 0.719 0.758 (multiplicity 1)
O72 0.441 0.586 0.426 (multiplicity 1)
O73 0.562 0.584 0.928 (multiplicity 1)
O74 0.569 0.717 0.258 (multiplicity 1)
O75 0.571 0.024 0.647 (multiplicity 1)
O76 0.572 0.053 0.919 (multiplicity 1)
O77 0.573 0.588 0.203 (multiplicity 1)
O78 0.579 0.054 0.246 (multiplicity 1)
O79 0.583 0.905 0.864 (multiplicity 1)
O80 0.585 0.904 0.978 (multiplicity 1)
O81 0.588 0.571 0.600 (multiplicity 1)
O82 0.590 0.394 0.600 (multiplicity 1)
O83 0.592 0.731 0.864 (multiplicity 1)
O84 0.593 0.722 0.580 (multiplicity 1)
O85 0.593 0.732 0.978 (multiplicity 1)
O86 0.595 0.275 0.536 (multiplicity 1)
O87 0.599 0.255 0.247 (multiplicity 1)
O88 0.602 0.897 0.573 (multiplicity 1)
O89 0.605 0.378 0.309 (multiplicity 1)
O90 0.613 0.890 0.262 (multiplicity 1)
O91 0.614 0.397 0.205 (multiplicity 1)
O92 0.616 0.582 0.307 (multiplicity 1)
O93 0.630 0.390 0.923 (multiplicity 1)
O94 0.635 0.254 0.640 (multiplicity 1)
O95 0.640 0.237 0.920 (multiplicity 1)
O96 0.653 0.055 0.533 (multiplicity 1)
O97 0.670 0.486 0.106 (multiplicity 1)
O98 0.682 0.834 0.760 (multiplicity 1)
O99 0.684 0.821 0.080 (multiplicity 1)
O100 0.685 0.474 0.701 (multiplicity 1)
O101 0.686 0.816 0.368 (multiplicity 1)
O102 0.687 0.176 0.419 (multiplicity 1)
O103 0.687 0.819 0.474 (multiplicity 1)
O104 0.689 0.454 0.423 (multiplicity 1)
O105 0.708 0.145 0.746 (multiplicity 1)
O106 0.710 0.504 0.814 (multiplicity 1)
O107 0.730 0.128 0.037 (multiplicity 1)
O108 0.733 0.161 0.141 (multiplicity 1)
O109 0.775 0.663 0.641 (multiplicity 1)
O110 0.778 0.628 0.538 (multiplicity 1)
O111 0.799 0.645 0.246 (multiplicity 1)
O112 0.801 0.002 0.312 (multiplicity 1)
O113 0.821 0.318 0.973 (multiplicity 1)
O114 0.822 0.316 0.868 (multiplicity 1)
O115 0.822 0.951 0.925 (multiplicity 1)
O116 0.823 0.322 0.584 (multiplicity 1)
O117 0.823 0.973 0.200 (multiplicity 1)
O118 0.825 0.336 0.255 (multiplicity 1)
O119 0.825 0.677 0.918 (multiplicity 1)
O120 0.836 0.985 0.607 (multiplicity 1)
O121 0.850 0.554 0.032 (multiplicity 1)
O122 0.868 0.737 0.420 (multiplicity 1)
O123 0.870 0.754 0.137 (multiplicity 1)
O124 0.878 0.890 0.423 (multiplicity 1)
O125 0.887 0.896 0.707 (multiplicity 1)
O126 0.891 0.083 0.807 (multiplicity 1)
O127 0.896 0.391 0.763 (multiplicity 1)
O128 0.905 0.398 0.073 (multiplicity 1)
O129 0.905 0.876 0.811 (multiplicity 1)
O130 0.907 0.754 0.749 (multiplicity 1)
O131 0.914 0.775 0.033 (multiplicity 1)
O132 0.915 0.222 0.079 (multiplicity 1)
O133 0.916 0.230 0.363 (multiplicity 1)
O134 0.916 0.231 0.479 (multiplicity 1)
O135 0.916 0.895 0.097 (multiplicity 1)
O136 0.921 0.407 0.479 (multiplicity 1)
O137 0.922 0.071 0.098 (multiplicity 1)
O138 0.927 0.407 0.363 (multiplicity 1)
O139 0.930 0.555 0.748 (multiplicity 1)
O140 0.935 0.087 0.704 (multiplicity 1)
O141 0.938 0.526 0.145 (multiplicity 1)
O142 0.939 0.217 0.758 (multiplicity 1)
O143 0.940 0.554 0.419 (multiplicity 1)
O144 0.949 0.084 0.428 (multiplicity 1)

---

Record 3
## Eu3Mg5Ge5 (GGA-PBE)

Data for Eu3Mg5Ge5 after structural relaxation.

magnetic moment: 21.06 μB/f.u.
formation enthalpy at 0 K: -512 meV per atom

Unit cell a=14.536 b=4.528 c=18.433 alpha=90.00 beta=90.00 gamma=90.00
Space group Pnma (No. 62)
Unique sites:
Eu1 0.088 0.250 0.154 (multiplicity 4)
Eu2 0.136 0.750 0.692 (multiplicity 4)
Eu3 0.208 0.750 0.487 (multiplicity 4)
Mg1 0.023 0.250 0.438 (multiplicity 4)
Mg2 0.037 0.750 0.311 (multiplicity 4)
Mg3 0.053 0.250 0.957 (multiplicity 4)
Mg4 0.165 0.750 0.871 (multiplicity 4)
Mg5 0.234 0.750 0.274 (multiplicity 4)
Ge1 0.079 0.250 0.809 (multiplicity 4)
Ge2 0.087 0.250 0.575 (multiplicity 4)
Ge3 0.132 0.750 0.016 (multiplicity 4)
Ge4 0.150 0.250 0.326 (multiplicity 4)
Ge5 0.244 0.750 0.121 (multiplicity 4)

---

Record 4
## Ba3Ge16Rh4 (GGA-PBE)

Data for Ba3Ge16Rh4 after structural relaxation.

magnetic moment: 0.11 μB/f.u.
formation enthalpy at 0 K: -411 meV per atom

Unit cell a=6.635 b=6.635 c=22.386 alpha=90.00 beta=90.00 gamma=90.00
Space group I4/mmm (No. 139)
Unique sites:
Ba1 0.000 0.000 0.000 (multiplicity 2)
Ba2 0.000 0.500 0.250 (multiplicity 4)
Ge1 0.000 0.000 0.197 (multiplicity 4)
Ge2 0.000 0.000 0.311 (multiplicity 4)
Ge3 0.000 0.273 0.500 (multiplicity 8)
Ge4 0.243 0.243 0.129 (multiplicity 16)
Rh1 0.000 0.500 0.089 (multiplicity 8)

---

Record 5
## Np2InRh2 (GGA-PBE)

Data for Np2InRh2 after structural relaxation.

formation enthalpy at 0 K: -265 meV per atom

Unit cell a=7.742 b=7.742 c=3.389 alpha=90.00 beta=90.00 gamma=90.00
Space group P4/mbm (No. 127)
Unique sites:
Np1 0.163 0.337 0.000 (multiplicity 4)
In1 0.000 0.000 0.500 (multiplicity 2)
Rh1 0.142 0.642 0.500 (multiplicity 4)

---

Record 6
## Li3Cu4F9 (GGA-PBE)

Data for Li3Cu4F9 after structural relaxation.

magnetic moment: 2.00 μB/f.u.
formation enthalpy at 0 K: -2140 meV per atom

Unit cell a=5.225 b=5.253 c=8.090 alpha=85.52 beta=73.47 gamma=60.34
Space group P1 (No. 1)
Unique sites:
Li1 0.000 0.000 0.000 (multiplicity 1)
Li2 0.196 0.418 0.292 (multiplicity 1)
Li3 0.763 0.610 0.846 (multiplicity 1)
Cu1 0.224 0.934 0.601 (multiplicity 1)
Cu2 0.387 0.297 0.915 (multiplicity 1)
Cu3 0.556 0.717 0.225 (multiplicity 1)
Cu4 0.726 0.173 0.535 (multiplicity 1)
F1 0.138 0.230 0.795 (multiplicity 1)
F2 0.158 0.766 0.382 (multiplicity 1)
F3 0.352 0.963 0.054 (multiplicity 1)
F4 0.436 0.111 0.430 (multiplicity 1)
F5 0.499 0.562 0.739 (multiplicity 1)
F6 0.596 0.333 0.074 (multiplicity 1)
F7 0.798 0.442 0.372 (multiplicity 1)
F8 0.845 0.912 0.743 (multiplicity 1)
F9 0.954 0.666 0.071 (multiplicity 1)

---

Record 7
## Cd3Ga3N5 (GGA-PBE)

Data for Cd3Ga3N5 after structural relaxation.

magnetic moment: 0.00 μB/f.u.
formation enthalpy at 0 K: 8 meV per atom

Unit cell a=5.851 b=7.020 c=8.704 alpha=107.31 beta=105.03 gamma=100.31
Space group P-1 (No. 2)
Unique sites:
Cd1 0.157 0.325 0.466 (multiplicity 2)
Cd2 0.215 0.937 0.109 (multiplicity 2)
Cd3 0.235 0.109 0.743 (multiplicity 2)
Ga1 0.205 0.460 0.094 (multiplicity 2)
Ga2 0.371 0.653 0.813 (multiplicity 2)
Ga3 0.398 0.804 0.471 (multiplicity 2)
N1 0.145 0.601 0.928 (multiplicity 2)
N2 0.241 0.743 0.627 (multiplicity 2)
N3 0.249 0.997 0.381 (multiplicity 2)
N4 0.298 0.202 0.023 (multiplicity 2)
N5 0.497 0.384 0.702 (multiplicity 2)

---

Record 8
## TaCl5 (GGA-PBE)

Data for TaCl5 after structural relaxation.

formation enthalpy at 0 K: -1856 meV per atom

Unit cell a=19.798 b=18.854 c=6.465 alpha=90.00 beta=91.82 gamma=90.00
Space group C2/m (No. 12)
Unique sites:
Ta1 0.000 0.106 0.000 (multiplicity 4)
Ta2 0.167 0.394 0.476 (multiplicity 8)
Cl1 0.048 0.000 0.205 (multiplicity 4)
Cl2 0.053 0.182 0.225 (multiplicity 8)
Cl3 0.072 0.405 0.259 (multiplicity 8)
Cl4 0.094 0.095 0.797 (multiplicity 8)
Cl5 0.115 0.318 0.694 (multiplicity 8)
Cl6 0.119 0.500 0.674 (multiplicity 4)
Cl7 0.214 0.500 0.278 (multiplicity 4)
Cl8 0.219 0.318 0.258 (multiplicity 8)
Cl9 0.238 0.095 0.307 (multiplicity 8)